A plane-wave DFT calculation with PBE-GGA was carried out for a geometry-optimized SmYO3 structure.

Corrected total energy (MP2020 scheme) ... -181.168 eV per cell
Formation enthalpy at 0 K ... -371.7 kJ per mole of atoms
Piezoelectric modulus e_max ... 1.0 C/m²
Uncorrected energy ... -0.31774 Ha/atom

Cell and atoms, written as extended XYZ:
```
20
Lattice="6.010 0.000 0.000 0.000 5.879 0.000 0.000 0.000 8.509" Properties=species:S:1:pos:R:3 pbc="T T T"
Sm 0.204 0.028 0.000
Sm 2.801 2.968 4.254
Sm 3.209 2.911 0.000
Sm 5.806 5.851 4.254
Y 0.128 2.947 2.278
Y 2.877 0.007 6.533
Y 3.133 5.872 2.278
Y 5.882 2.933 6.533
O 0.514 2.159 4.486
O 0.740 4.991 6.204
O 1.430 4.662 3.137
O 1.575 1.723 7.391
O 2.265 2.052 1.950
O 2.491 5.098 0.231
O 3.519 0.781 4.486
O 3.745 3.827 6.204
O 4.434 4.156 3.137
O 4.580 1.217 7.391
O 5.270 0.888 1.950
O 5.496 3.720 0.231
```